## Dy2InGe2 (r²SCAN)

Data for a geometry-optimized Dy2InGe2 structure.

The structure in POSCAR format:
```
Dy2InGe2
1.0
7.385 0.000 0.000
0.000 7.385 0.000
0.000 0.000 4.152
Dy In Ge
4 2 4
Direct
0.679 0.179 0.500
0.821 0.679 0.500
0.321 0.821 0.500
0.179 0.321 0.500
0.500 0.500 0.000
0.000 0.000 0.000
0.620 0.880 0.000
0.380 0.120 0.000
0.880 0.380 0.000
0.120 0.620 0.000
```

Results
symmetry	P4/mbm, No. 127
DFT formation energy	-4.0	eV per formula unit
crystal system	tetragonal